# AlH3O3 PBE relaxed
data_AlH3O3
_cell_length_a 8.6824
_cell_length_b 5.1799
_cell_length_c 12.7331
_cell_angle_alpha 90.00
_cell_angle_beta 131.56
_cell_angle_gamma 90.00
_space_group_name_H-M_alt 'P 1 c 1'
_space_group_IT_number 7
loop_
_space_group_symop_operation_xyz
'x,y,z'
'x,-y,z+1/2'
loop_
_atom_site_label
_atom_site_type_symbol
_atom_site_fract_x
_atom_site_fract_y
_atom_site_fract_z
Al1 Al 0.0000 0.2303 0.0000
Al2 Al 0.3588 0.2518 0.0183
Al3 Al 0.4886 0.2339 0.5090
Al4 Al 0.8366 0.2562 0.4935
H1 H 0.1124 0.0773 0.4030
H2 H 0.1557 0.4414 0.2990
H3 H 0.2123 0.1603 0.6218
H4 H 0.2926 0.0705 0.8040
H5 H 0.3627 0.3333 0.2083
H6 H 0.5476 0.4483 0.8883
H7 H 0.6398 0.0499 0.7834
H8 H 0.6764 0.4814 0.2140
H9 H 0.7566 0.0792 0.0924
H10 H 0.8409 0.3962 0.1132
H11 H 0.9132 0.1083 0.7354
H12 H 0.9637 0.3820 0.3752
O1 O 0.0654 0.1036 0.8837
O2 O 0.1001 0.0814 0.6118
O3 O 0.2381 0.4237 0.4010
O4 O 0.2634 0.3719 0.1069
O5 O 0.4022 0.0812 0.9065
O6 O 0.4740 0.0464 0.6225
O7 O 0.5605 0.3637 0.3969
O8 O 0.6010 0.4566 0.1127
O9 O 0.7564 0.0474 0.8938
O10 O 0.7961 0.1010 0.6206
O11 O 0.8765 0.4619 0.3896
O12 O 0.9451 0.4353 0.1071
# Formation enthalpy at 0 K (eV/atom): -1.99
# Calculated total energy (eV/atom): -5.808
# Excess energy over the best structure of this formula in the dataset (kJ/mol of formula units): 35